[1]
{"formula": "Na14Nb2Al6Si9S3O48", "functional": "PBE", "state": "relaxed", "cell": [[-12.785, -11.992, -2.470], [2.294, 2.389, 8.212], [-14.907, 16.127, -0.461]], "species": ["O", "O", "O", "O", "O", "O", "O", "O", "O", "O", "O", "O", "O", "O", "O", "O", "O", "O", "O", "O", "O", "O", "O", "O", "O", "O", "O", "O", "O", "O", "O", "O", "O", "O", "O", "O", "O", "O", "O", "O", "O", "O", "O", "O", "O", "O", "O", "O", "O", "O", "O", "O", "O", "O", "O", "O", "O", "O", "O", "O", "O", "O", "O", "O", "O", "O", "O", "O", "O", "O", "O", "O", "O", "O", "O", "O", "O", "O", "O", "O", "O", "O", "O", "O", "O", "O", "O", "O", "O", "O", "O", "O", "O", "O", "O", "O", "O", "O", "O", "O", "O", "O", "O", "O", "O", "O", "O", "O", "O", "O", "O", "O", "O", "O", "O", "O", "O", "O", "O", "O", "O", "O", "O", "O", "O", "O", "O", "O", "O", "O", "O", "O", "O", "O", "O", "O", "O", "O", "O", "O", "O", "O", "O", "O", "Al", "Al", "Al", "Al", "Al", "Al", "Al", "Al", "Al", "Al", "Al", "Al", "Al", "Al", "Al", "Al", "Al", "Al", "Na", "Na", "Na", "Na", "Na", "Na", "Na", "Na", "Na", "Na", "Na", "Na", "Na", "Na", "Na", "Na", "Na", "Na", "Na", "Na", "Na", "Na", "Na", "Na", "Na", "Na", "Na", "Na", "Na", "Na", "Na", "Na", "Na", "Na", "Na", "Na", "Na", "Na", "Na", "Na", "Na", "Na", "Si", "Si", "Si", "Si", "Si", "Si", "Si", "Si", "Si", "Si", "Si", "Si", "Si", "Si", "Si", "Si", "Si", "Si", "Si", "Si", "Si", "Si", "Si", "Si", "Si", "Si", "Si", "S", "S", "S", "S", "S", "S", "S", "S", "S", "Nb", "Nb", "Nb", "Nb", "Nb", "Nb"], "frac_coords": [[0.985, 0.806, 0.814], [0.079, 0.180, 0.407], [0.771, 0.844, 0.471], [0.652, 0.457, 0.471], [0.075, 0.646, 0.074], [0.093, 0.970, 0.196], [0.899, 0.976, 0.412], [0.917, 0.292, 0.522], [0.105, 0.027, 0.306], [0.322, 0.131, 0.420], [0.018, 0.203, 0.191], [0.584, 0.690, 0.755], [0.513, 0.197, 0.194], [0.181, 0.506, 0.077], [0.346, 0.537, 0.246], [0.085, 0.704, 0.475], [0.813, 0.128, 0.144], [0.149, 0.469, 0.475], [0.257, 0.370, 0.142], [0.235, 0.171, 0.521], [0.254, 0.352, 0.422], [0.416, 0.018, 0.091], [0.410, 0.793, 0.306], [0.596, 0.167, 0.088], [0.258, 0.825, 0.763], [0.845, 0.177, 0.742], [0.755, 0.142, 0.641], [0.421, 0.357, 0.924], [0.655, 0.826, 0.258], [0.393, 0.815, 0.195], [0.655, 0.463, 0.757], [0.084, 0.206, 0.693], [0.415, 0.291, 0.520], [0.601, 0.036, 0.310], [0.592, 0.213, 0.696], [0.988, 0.161, 0.587], [0.745, 0.644, 0.571], [0.011, 0.842, 0.409], [0.415, 0.540, 0.023], [0.681, 0.856, 0.576], [0.587, 0.707, 0.475], [0.574, 0.643, 0.078], [0.156, 0.485, 0.758], [0.319, 0.506, 0.922], [0.314, 0.499, 0.643], [0.087, 0.971, 0.913], [0.648, 0.831, 0.977], [0.180, 0.851, 0.573], [0.509, 0.843, 0.406], [0.432, 0.375, 0.640], [0.742, 0.175, 0.244], [0.342, 0.170, 0.744], [0.094, 0.024, 0.587], [0.917, 0.812, 0.588], [0.087, 0.468, 0.976], [0.757, 0.690, 0.263], [0.247, 0.648, 0.573], [0.917, 0.023, 0.088], [0.435, 0.501, 0.144], [0.755, 0.872, 0.362], [0.578, 0.978, 0.908], [0.417, 0.813, 0.588], [0.185, 0.503, 0.360], [0.154, 0.846, 0.972], [0.274, 0.847, 0.471], [0.066, 0.633, 0.361], [0.570, 0.635, 0.357], [0.243, 0.310, 0.744], [0.759, 0.820, 0.757], [0.087, 0.482, 0.255], [0.268, 0.698, 0.257], [0.486, 0.812, 0.090], [0.517, 0.832, 0.692], [0.236, 0.298, 0.022], [0.234, 0.163, 0.245], [0.747, 0.846, 0.074], [0.582, 0.960, 0.193], [0.085, 0.695, 0.758], [0.901, 0.824, 0.913], [0.914, 0.538, 0.021], [0.490, 0.167, 0.590], [0.990, 0.813, 0.091], [0.256, 0.639, 0.863], [0.354, 0.165, 0.022], [0.401, 0.974, 0.410], [0.355, 0.544, 0.522], [0.898, 0.968, 0.691], [0.911, 0.303, 0.244], [0.417, 0.028, 0.812], [0.485, 0.805, 0.811], [0.245, 0.133, 0.922], [0.811, 0.489, 0.640], [0.568, 0.502, 0.861], [0.584, 0.474, 0.258], [0.586, 0.200, 0.411], [0.744, 0.354, 0.420], [0.399, 0.965, 0.694], [0.757, 0.637, 0.864], [0.583, 0.464, 0.977], [0.252, 0.132, 0.642], [0.257, 0.875, 0.362], [0.842, 0.514, 0.244], [0.183, 0.877, 0.863], [0.679, 0.509, 0.075], [0.921, 0.486, 0.423], [0.574, 0.503, 0.574], [0.773, 0.698, 0.972], [0.017, 0.832, 0.693], [0.410, 0.316, 0.244], [0.097, 0.162, 0.090], [0.410, 0.520, 0.744], [0.158, 0.848, 0.258], [0.685, 0.870, 0.861], [0.926, 0.360, 0.923], [0.311, 0.124, 0.141], [0.914, 0.036, 0.810], [0.733, 0.304, 0.745], [0.399, 0.821, 0.913], [0.854, 0.167, 0.023], [0.911, 0.511, 0.744], [0.933, 0.491, 0.141], [0.819, 0.130, 0.421], [0.936, 0.372, 0.642], [0.482, 0.161, 0.313], [0.899, 0.834, 0.194], [0.012, 0.178, 0.910], [0.104, 0.167, 0.811], [0.734, 0.171, 0.520], [0.735, 0.297, 0.022], [0.604, 0.181, 0.806], [0.917, 0.807, 0.312], [0.271, 0.698, 0.972], [0.681, 0.488, 0.361], [0.751, 0.369, 0.143], [0.426, 0.493, 0.422], [0.821, 0.509, 0.922], [0.852, 0.541, 0.521], [0.754, 0.157, 0.924], [0.595, 0.030, 0.589], [0.245, 0.843, 0.071], [0.986, 0.166, 0.311], [0.074, 0.506, 0.577], [0.071, 0.506, 0.858], [0.510, 0.179, 0.910], [0.838, 0.336, 0.683], [0.505, 0.000, 0.347], [0.837, 0.340, 0.187], [0.160, 0.648, 0.025], [0.337, 0.323, 0.178], [0.659, 0.660, 0.307], [0.836, 0.325, 0.983], [0.660, 0.673, 0.527], [0.502, 0.006, 0.850], [0.340, 0.335, 0.988], [0.158, 0.654, 0.525], [0.001, 0.999, 0.351], [0.157, 0.655, 0.806], [0.000, 0.015, 0.842], [0.840, 0.345, 0.492], [0.336, 0.331, 0.687], [0.658, 0.662, 0.022], [0.336, 0.347, 0.486], [0.165, 0.664, 0.163], [0.002, 0.001, 0.501], [0.654, 0.966, 0.081], [0.853, 0.666, 0.417], [0.483, 0.309, 0.417], [0.502, 0.004, 0.996], [0.665, 0.027, 0.419], [0.353, 0.041, 0.915], [0.339, 0.334, 0.827], [0.152, 0.966, 0.082], [0.853, 0.046, 0.916], [0.001, 0.007, 0.998], [0.668, 0.667, 0.166], [0.668, 0.669, 0.665], [0.185, 0.003, 0.747], [0.333, 0.332, 0.333], [0.654, 0.339, 0.585], [0.502, 0.628, 0.249], [0.486, 0.667, 0.917], [0.331, 0.694, 0.082], [0.686, 0.370, 0.247], [0.665, 0.297, 0.920], [0.983, 0.659, 0.914], [0.998, 0.369, 0.749], [0.984, 0.302, 0.420], [0.015, 0.339, 0.081], [0.163, 0.299, 0.917], [0.152, 0.336, 0.583], [0.839, 0.344, 0.327], [0.329, 0.970, 0.585], [0.501, 0.996, 0.501], [0.166, 0.668, 0.667], [0.017, 0.697, 0.584], [0.815, 0.001, 0.247], [0.314, 0.629, 0.747], [0.834, 0.330, 0.830], [0.830, 0.692, 0.083], [0.832, 0.969, 0.585], [0.351, 0.657, 0.421], [0.518, 0.341, 0.080], [0.165, 0.035, 0.423], [0.515, 0.692, 0.583], [0.523, 0.668, 0.415], [0.666, 0.965, 0.921], [0.994, 0.703, 0.755], [0.328, 0.611, 0.583], [0.854, 0.703, 0.256], [0.194, 0.048, 0.581], [0.493, 0.286, 0.255], [0.827, 0.045, 0.083], [0.853, 0.005, 0.751], [0.975, 0.610, 0.082], [0.829, 0.615, 0.583], [0.477, 0.617, 0.083], [0.023, 0.378, 0.916], [0.695, 0.054, 0.582], [0.353, 0.004, 0.756], [0.475, 0.338, 0.582], [0.166, 0.367, 0.421], [0.996, 0.284, 0.252], [0.328, 0.038, 0.081], [0.495, 0.706, 0.753], [0.150, 0.295, 0.753], [0.649, 0.003, 0.253], [0.977, 0.336, 0.583], [0.698, 0.347, 0.081], [0.518, 0.370, 0.920], [0.196, 0.338, 0.083], [0.016, 0.666, 0.422], [0.666, 0.378, 0.416], [0.646, 0.289, 0.751], [0.812, 0.667, 0.918], [0.354, 0.710, 0.251], [0.148, 0.007, 0.251], [0.167, 0.955, 0.917], [0.313, 0.957, 0.417], [0.810, 0.954, 0.416], [0.310, 0.665, 0.917], [0.157, 0.646, 0.315], [0.000, 0.998, 0.648], [0.495, 0.990, 0.645], [0.662, 0.679, 0.812], [0.508, 0.014, 0.144], [0.994, 0.000, 0.144]], "space_group": "P1 (1)", "crystal_system": "triclinic", "ef_kj_per_mol_fu": -21903}

***

[2]
{"formula": "Na2NbAl3Si2S4O24", "functional": "PBE", "state": "relaxed", "cell": [[8.561, 0.006, 0.056], [-4.275, 7.377, -0.019], [0.145, 0.026, 22.147]], "species": ["O", "O", "O", "O", "O", "O", "O", "O", "O", "O", "O", "O", "O", "O", "O", "O", "O", "O", "O", "O", "O", "O", "O", "O", "O", "O", "O", "O", "O", "O", "O", "O", "O", "O", "O", "O", "O", "O", "O", "O", "O", "O", "O", "O", "O", "O", "O", "O", "O", "O", "O", "O", "O", "O", "O", "O", "O", "O", "O", "O", "O", "O", "O", "O", "O", "O", "O", "O", "O", "O", "O", "O", "Al", "Al", "Al", "Al", "Al", "Al", "Al", "Al", "Al", "Si", "Si", "Si", "Si", "Si", "Si", "S", "S", "S", "S", "S", "S", "S", "S", "S", "S", "S", "S", "Na", "Na", "Na", "Na", "Na", "Na", "Nb", "Nb", "Nb"], "frac_coords": [[0.987, 0.832, 0.092], [0.539, 0.701, 0.258], [0.029, 0.197, 0.909], [0.503, 0.634, 0.858], [0.872, 0.505, 0.145], [0.458, 0.303, 0.031], [0.826, 0.786, 0.305], [0.801, 0.975, 0.690], [0.196, 0.172, 0.091], [0.870, 0.359, 0.922], [0.841, 0.537, 0.027], [0.839, 0.489, 0.428], [0.833, 0.030, 0.092], [0.304, 0.481, 0.752], [0.710, 0.177, 0.736], [0.176, 0.968, 0.195], [0.683, 0.523, 0.243], [0.536, 0.837, 0.475], [0.159, 0.981, 0.911], [0.321, 0.850, 0.255], [0.019, 0.850, 0.407], [0.368, 0.499, 0.082], [0.867, 0.361, 0.638], [0.372, 0.865, 0.577], [0.635, 0.511, 0.637], [0.169, 0.469, 0.257], [0.492, 0.352, 0.429], [0.800, 0.820, 0.195], [0.514, 0.876, 0.366], [0.466, 0.177, 0.241], [0.197, 0.019, 0.587], [0.508, 0.860, 0.083], [0.373, 0.491, 0.365], [0.696, 0.540, 0.529], [0.357, 0.864, 0.856], [0.957, 0.784, 0.801], [0.130, 0.635, 0.360], [0.137, 0.493, 0.577], [0.024, 0.180, 0.190], [0.502, 0.643, 0.576], [0.490, 0.351, 0.141], [0.012, 0.820, 0.690], [0.535, 0.849, 0.747], [0.518, 0.147, 0.924], [0.964, 0.163, 0.588], [0.162, 0.640, 0.077], [0.169, 0.202, 0.414], [0.207, 0.029, 0.305], [0.169, 0.196, 0.685], [0.156, 0.698, 0.748], [0.296, 0.830, 0.977], [0.158, 0.458, 0.972], [0.691, 0.151, 0.032], [0.833, 0.525, 0.737], [0.817, 0.866, 0.904], [0.312, 0.472, 0.475], [0.803, 0.980, 0.415], [0.487, 0.303, 0.741], [0.130, 0.487, 0.862], [0.469, 0.161, 0.528], [0.809, 0.289, 0.246], [0.841, 0.306, 0.529], [0.830, 0.807, 0.589], [0.186, 0.160, 0.807], [0.819, 0.030, 0.800], [0.526, 0.696, 0.980], [0.632, 0.134, 0.430], [0.166, 0.709, 0.478], [0.493, 0.132, 0.637], [0.635, 0.128, 0.141], [0.967, 0.154, 0.312], [0.652, 0.509, 0.923], [0.336, 0.686, 0.021], [0.324, 0.675, 0.517], [0.992, 0.991, 0.353], [0.006, 0.009, 0.647], [0.655, 0.334, 0.688], [0.020, 0.002, 0.858], [0.674, 0.339, 0.481], [0.001, 0.000, 0.143], [0.693, 0.338, 0.187], [0.977, 0.254, 0.250], [0.629, 0.691, 0.921], [0.033, 0.672, 0.422], [0.972, 0.634, 0.088], [0.327, 0.952, 0.919], [0.282, 0.272, 0.746], [0.378, 0.334, 0.089], [0.951, 0.331, 0.583], [0.990, 0.711, 0.745], [0.621, 0.956, 0.421], [0.052, 0.376, 0.919], [0.725, 0.013, 0.745], [0.290, 0.013, 0.248], [0.719, 0.711, 0.249], [0.335, 0.377, 0.422], [0.383, 0.047, 0.583], [0.668, 0.043, 0.087], [0.665, 0.624, 0.583], [0.002, 0.992, 0.497], [0.690, 0.341, 0.332], [0.316, 0.655, 0.158], [0.001, 0.976, 0.999], [0.327, 0.650, 0.665], [0.638, 0.324, 0.831], [0.345, 0.668, 0.811], [0.312, 0.652, 0.310], [0.669, 0.350, 0.978]], "space_group": "P1 (1)", "crystal_system": "triclinic", "ef_kj_per_mol_fu": -8846}